Below is a relaxed Sm2AlZn crystal, with properties calculated at the r2SCAN level. Values from VASP.

```
&SYSTEM
  ibrav = 0, nat = 4, ntyp = 3
/
ATOMIC_SPECIES
Al 26.98 Al.upf
Zn 65.41 Zn.upf
Sm 150.36 Sm.upf
ATOMIC_POSITIONS crystal
Al 0.250 0.250 0.250
Zn 0.750 0.750 0.750
Sm 0.500 0.500 0.500
Sm 0.000 0.000 0.000
CELL_PARAMETERS angstrom
0.000 3.662 3.662
3.662 0.000 3.662
3.662 3.662 0.000
```

Summary:
- Formation energy: -0.39 eV per atom



Below is a relaxed YNbO4 crystal, with properties calculated at the r2SCAN level. Values from VASP.

```
&SYSTEM
  ibrav = 0, nat = 12, ntyp = 3
/
ATOMIC_SPECIES
O 16.00 O.upf
Y 88.91 Y.upf
Nb 92.91 Nb.upf
ATOMIC_POSITIONS crystal
O 0.009 0.716 0.437
O 0.789 0.127 0.077
O 0.427 0.220 0.437
O 0.573 0.780 0.563
O 0.288 0.450 0.077
O 0.712 0.550 0.923
O 0.991 0.284 0.563
O 0.211 0.873 0.923
Y 0.621 0.871 0.243
Y 0.379 0.129 0.757
Nb 0.858 0.608 0.715
Nb 0.142 0.392 0.285
CELL_PARAMETERS angstrom
4.772 0.016 -1.835
-1.201 4.768 -2.004
-0.013 0.001 6.552
```

Summary:
- Formation energy: -3.39 eV per atom



Below is a relaxed YbTl3 crystal, with properties calculated at the r2SCAN level. Values from VASP.

```
&SYSTEM
  ibrav = 0, nat = 4, ntyp = 2
/
ATOMIC_SPECIES
Tl 204.38 Tl.upf
Yb 173.04 Yb.upf
ATOMIC_POSITIONS crystal
Tl 0.000 0.500 0.500
Tl 0.500 0.500 0.000
Tl 0.500 0.000 0.500
Yb 0.000 0.000 0.000
CELL_PARAMETERS angstrom
4.691 0.000 0.000
0.000 4.691 0.000
0.000 0.000 4.691
```

Summary:
- Formation energy: -0.22 eV per atom



Below is a relaxed Ho12Ni6Pb crystal, with properties calculated at the r2SCAN level. Values from VASP.

```
&SYSTEM
  ibrav = 0, nat = 19, ntyp = 3
/
ATOMIC_SPECIES
Ho 164.93 Ho.upf
Ni 58.69 Ni.upf
Pb 207.20 Pb.upf
ATOMIC_POSITIONS crystal
Ho 0.116 0.811 0.305
Ho 0.884 0.189 0.695
Ho 0.811 0.305 0.116
Ho 0.305 0.494 0.189
Ho 0.494 0.189 0.305
Ho 0.305 0.116 0.811
Ho 0.695 0.506 0.811
Ho 0.811 0.695 0.506
Ho 0.506 0.811 0.695
Ho 0.695 0.884 0.189
Ho 0.189 0.305 0.494
Ho 0.189 0.695 0.884
Ni 0.500 0.878 0.378
Ni 0.378 0.500 0.878
Ni 0.122 0.622 0.500
Ni 0.878 0.378 0.500
Ni 0.622 0.500 0.122
Ni 0.500 0.122 0.622
Pb 0.000 0.000 0.000
CELL_PARAMETERS angstrom
-4.810 4.811 4.810
4.810 -4.811 4.810
4.810 4.811 -4.810
```

Summary:
- Formation energy: -0.41 eV per atom



Below is a relaxed Ac2CdHg crystal, with properties calculated at the r2SCAN level. Values from VASP.

```
&SYSTEM
  ibrav = 0, nat = 4, ntyp = 3
/
ATOMIC_SPECIES
Ac 227.00 Ac.upf
Hg 200.59 Hg.upf
Cd 112.41 Cd.upf
ATOMIC_POSITIONS crystal
Ac 0.750 0.750 0.750
Ac 0.250 0.250 0.250
Hg 0.000 0.000 0.000
Cd 0.500 0.500 0.500
CELL_PARAMETERS angstrom
-0.596 2.192 5.261
-4.850 2.683 1.454
-3.614 -2.431 3.724
```

Summary:
- Formation energy: -0.43 eV per atom



Below is a relaxed Dy2MoO6 crystal, with properties calculated at the r2SCAN level. Values from VASP.

```
&SYSTEM
  ibrav = 0, nat = 36, ntyp = 3
/
ATOMIC_SPECIES
O 16.00 O.upf
Mo 95.94 Mo.upf
Dy 162.50 Dy.upf
ATOMIC_POSITIONS crystal
O 0.192 0.663 0.083
O 0.427 0.390 0.079
O 0.288 0.183 0.639
O 0.817 0.712 0.861
O 0.888 0.951 0.485
O 0.049 0.112 0.015
O 0.885 0.326 0.368
O 0.712 0.817 0.361
O 0.663 0.192 0.583
O 0.951 0.888 0.985
O 0.326 0.885 0.868
O 0.390 0.427 0.579
O 0.610 0.573 0.421
O 0.569 0.975 0.741
O 0.183 0.288 0.139
O 0.337 0.808 0.417
O 0.975 0.569 0.241
O 0.573 0.610 0.921
O 0.115 0.674 0.632
O 0.674 0.115 0.132
O 0.025 0.431 0.759
O 0.112 0.049 0.515
O 0.431 0.025 0.259
O 0.808 0.337 0.917
Mo 0.295 0.014 0.562
Mo 0.014 0.295 0.062
Mo 0.705 0.986 0.438
Mo 0.986 0.705 0.938
Dy 0.136 0.864 0.250
Dy 0.449 0.216 0.879
Dy 0.551 0.784 0.121
Dy 0.864 0.136 0.750
Dy 0.784 0.551 0.621
Dy 0.608 0.392 0.250
Dy 0.216 0.449 0.379
Dy 0.392 0.608 0.750
CELL_PARAMETERS angstrom
5.236 -2.599 7.937
8.565 -4.225 -2.440
3.665 3.843 0.573
```

Summary:
- Formation energy: -3.26 eV per atom



Below is a relaxed SmEuSe2 crystal, with properties calculated at the r2SCAN level. Values from VASP.

```
&SYSTEM
  ibrav = 0, nat = 4, ntyp = 3
/
ATOMIC_SPECIES
Sm 150.36 Sm.upf
Se 78.96 Se.upf
Eu 151.96 Eu.upf
ATOMIC_POSITIONS crystal
Sm 0.500 0.500 0.500
Se 0.752 0.752 0.752
Se 0.248 0.248 0.248
Eu 0.000 0.000 0.000
CELL_PARAMETERS angstrom
7.074 -2.107 0.002
7.074 2.107 0.002
6.446 0.000 3.596
```

Summary:
- Formation energy: -2.21 eV per atom



Below is a relaxed Er2TlCd crystal, with properties calculated at the r2SCAN level. Values from VASP.

```
&SYSTEM
  ibrav = 0, nat = 4, ntyp = 3
/
ATOMIC_SPECIES
Er 167.26 Er.upf
Tl 204.38 Tl.upf
Cd 112.41 Cd.upf
ATOMIC_POSITIONS crystal
Er 0.500 0.500 0.500
Er 0.000 0.000 0.000
Tl 0.750 0.750 0.750
Cd 0.250 0.250 0.250
CELL_PARAMETERS angstrom
0.000 3.705 3.705
3.705 0.000 3.705
3.705 3.705 0.000
```

Summary:
- Formation energy: -0.40 eV per atom



Below is a relaxed LiFe6O4F8 crystal, with properties calculated at the r2SCAN level. Values from VASP.

```
&SYSTEM
  ibrav = 0, nat = 19, ntyp = 4
/
ATOMIC_SPECIES
Li 6.94 Li.upf
F 19.00 F.upf
O 16.00 O.upf
Fe 55.84 Fe.upf
ATOMIC_POSITIONS crystal
Li 0.176 0.327 0.831
F 0.361 0.420 0.472
F 0.311 0.946 0.879
F 0.637 0.573 0.554
F 0.693 0.085 0.104
F 0.982 0.245 0.203
F 0.345 0.390 0.949
F 0.045 0.713 0.779
F 0.675 0.045 0.626
O 0.666 0.628 0.015
O 0.002 0.266 0.720
O 0.010 0.694 0.304
O 0.331 0.987 0.345
Fe 0.670 0.343 0.309
Fe 0.148 0.331 0.356
Fe 0.840 0.628 0.658
Fe 0.513 0.969 0.017
Fe 0.340 0.717 0.641
Fe 0.993 0.963 0.009
CELL_PARAMETERS angstrom
-5.143 4.984 2.980
-0.218 4.791 -3.019
-4.932 0.221 -3.006
```

Summary:
- Formation energy: -2.13 eV per atom



Below is a relaxed Sm2C crystal, with properties calculated at the r2SCAN level. Values from VASP.

```
&SYSTEM
  ibrav = 0, nat = 3, ntyp = 2
/
ATOMIC_SPECIES
Sm 150.36 Sm.upf
C 12.01 C.upf
ATOMIC_POSITIONS crystal
Sm 0.988 0.977 0.035
Sm 0.512 0.023 0.465
C 0.250 0.500 0.250
CELL_PARAMETERS angstrom
1.139 -0.721 3.397
1.980 2.177 -2.168
-1.560 6.350 1.871
```

Summary:
- Formation energy: -0.29 eV per atom



Below is a relaxed AcYbGa2 crystal, with properties calculated at the r2SCAN level. Values from VASP.

```
&SYSTEM
  ibrav = 0, nat = 4, ntyp = 3
/
ATOMIC_SPECIES
Ga 69.72 Ga.upf
Yb 173.04 Yb.upf
Ac 227.00 Ac.upf
ATOMIC_POSITIONS crystal
Ga 0.750 0.750 0.750
Ga 0.250 0.250 0.250
Yb 0.000 0.000 0.000
Ac 0.500 0.500 0.500
CELL_PARAMETERS angstrom
-4.242 0.955 2.957
-1.838 4.905 0.455
-4.549 1.325 -2.279
```

Summary:
- Formation energy: -0.50 eV per atom



Below is a relaxed AlV2O4 crystal, with properties calculated at the r2SCAN level. Values from VASP.

```
&SYSTEM
  ibrav = 0, nat = 14, ntyp = 3
/
ATOMIC_SPECIES
V 50.94 V.upf
O 16.00 O.upf
Al 26.98 Al.upf
ATOMIC_POSITIONS crystal
V 0.500 0.000 0.000
V 0.000 0.500 0.000
V 0.000 0.000 0.000
V 0.000 0.000 0.500
O 0.748 0.747 0.251
O 0.253 0.253 0.246
O 0.252 0.754 0.747
O 0.252 0.253 0.749
O 0.748 0.246 0.253
O 0.747 0.747 0.754
O 0.754 0.251 0.748
O 0.246 0.749 0.253
Al 0.625 0.625 0.625
Al 0.375 0.375 0.375
CELL_PARAMETERS angstrom
5.072 -0.008 2.902
1.642 4.800 2.901
0.059 0.042 5.905
```

Summary:
- Excess energy over the best structure of this formula in the dataset: 50.6 meV per atom
- Formation energy: -2.78 eV per atom



Below is a relaxed YReB4 crystal, with properties calculated at the r2SCAN level. Values from VASP.

```
&SYSTEM
  ibrav = 0, nat = 24, ntyp = 3
/
ATOMIC_SPECIES
B 10.81 B.upf
Re 186.21 Re.upf
Y 88.91 Y.upf
ATOMIC_POSITIONS crystal
B 0.500 0.886 0.453
B 0.500 0.137 0.969
B 0.500 0.363 0.469
B 0.500 0.023 0.692
B 0.500 0.477 0.192
B 0.500 0.713 0.685
B 0.500 0.977 0.308
B 0.500 0.637 0.531
B 0.500 0.287 0.315
B 0.500 0.523 0.808
B 0.500 0.114 0.547
B 0.500 0.863 0.031
B 0.500 0.386 0.047
B 0.500 0.614 0.953
B 0.500 0.787 0.185
B 0.500 0.213 0.815
Re 0.000 0.133 0.413
Re 0.000 0.367 0.913
Re 0.000 0.633 0.087
Re 0.000 0.867 0.587
Y 0.000 0.126 0.150
Y 0.000 0.626 0.350
Y 0.000 0.874 0.850
Y 0.000 0.374 0.650
CELL_PARAMETERS angstrom
3.612 0.000 0.000
0.000 5.972 0.000
0.000 0.000 11.544
```

Summary:
- Formation energy: -0.64 eV per atom



Below is a relaxed YAu2 crystal, with properties calculated at the r2SCAN level. Values from VASP.

```
&SYSTEM
  ibrav = 0, nat = 3, ntyp = 2
/
ATOMIC_SPECIES
Y 88.91 Y.upf
Au 196.97 Au.upf
ATOMIC_POSITIONS crystal
Y 0.000 0.000 0.000
Au 0.335 0.335 0.670
Au 0.665 0.665 0.330
CELL_PARAMETERS angstrom
-1.627 3.323 -0.416
-2.475 -0.884 2.637
4.783 0.515 2.038
```

Summary:
- Formation energy: -0.93 eV per atom



Below is a relaxed SrAg5 crystal, with properties calculated at the r2SCAN level. Values from VASP.

```
&SYSTEM
  ibrav = 0, nat = 6, ntyp = 2
/
ATOMIC_SPECIES
Ag 107.87 Ag.upf
Sr 87.62 Sr.upf
ATOMIC_POSITIONS crystal
Ag 0.500 0.500 0.500
Ag 0.000 0.500 0.500
Ag 0.500 0.000 0.500
Ag 0.667 0.333 0.000
Ag 0.333 0.667 0.000
Sr 0.000 0.000 0.000
CELL_PARAMETERS angstrom
5.710 0.000 0.000
-2.855 4.945 0.000
0.000 0.000 4.605
```

Summary:
- Formation energy: -0.17 eV per atom



Below is a relaxed VF5 crystal, with properties calculated at the r2SCAN level. Values from VASP.

```
&SYSTEM
  ibrav = 0, nat = 12, ntyp = 2
/
ATOMIC_SPECIES
F 19.00 F.upf
V 50.94 V.upf
ATOMIC_POSITIONS crystal
F 0.769 0.079 0.256
F 0.579 0.731 0.256
F 0.921 0.769 0.744
F 0.079 0.231 0.744
F 0.500 0.000 0.745
F 0.000 0.500 0.255
F 0.269 0.579 0.744
F 0.231 0.921 0.256
F 0.731 0.421 0.744
F 0.421 0.269 0.256
V 0.500 0.000 0.353
V 0.000 0.500 0.647
CELL_PARAMETERS angstrom
6.036 0.000 0.000
0.000 6.036 0.000
0.000 0.000 4.370
```

Summary:
- Formation energy: -2.81 eV per atom



Below is a relaxed Y2MgTl crystal, with properties calculated at the r2SCAN level. Values from VASP.

```
&SYSTEM
  ibrav = 0, nat = 4, ntyp = 3
/
ATOMIC_SPECIES
Mg 24.30 Mg.upf
Y 88.91 Y.upf
Tl 204.38 Tl.upf
ATOMIC_POSITIONS crystal
Mg 0.500 0.500 0.500
Y 0.250 0.250 0.250
Y 0.750 0.750 0.750
Tl 0.000 0.000 0.000
CELL_PARAMETERS angstrom
-1.877 2.086 4.538
-4.503 2.862 -0.041
-4.437 -1.975 2.209
```

Summary:
- Formation energy: -0.31 eV per atom



Below is a relaxed HoPPd crystal, with properties calculated at the r2SCAN level. Values from VASP.

```
&SYSTEM
  ibrav = 0, nat = 12, ntyp = 3
/
ATOMIC_SPECIES
Ho 164.93 Ho.upf
P 30.97 P.upf
Pd 106.42 Pd.upf
ATOMIC_POSITIONS crystal
Ho 0.750 0.469 0.811
Ho 0.250 0.031 0.311
Ho 0.250 0.531 0.189
Ho 0.750 0.969 0.689
P 0.250 0.249 0.622
P 0.750 0.251 0.122
P 0.250 0.749 0.878
P 0.750 0.751 0.378
Pd 0.250 0.650 0.562
Pd 0.750 0.350 0.438
Pd 0.750 0.850 0.062
Pd 0.250 0.150 0.938
CELL_PARAMETERS angstrom
-1.124 1.535 -3.501
3.262 -5.113 -3.288
-6.430 -4.235 0.207
```

Summary:
- Formation energy: -1.38 eV per atom



Below is a relaxed EuSnO3 crystal, with properties calculated at the r2SCAN level. Values from VASP.

```
&SYSTEM
  ibrav = 0, nat = 5, ntyp = 3
/
ATOMIC_SPECIES
O 16.00 O.upf
Sn 118.71 Sn.upf
Eu 151.96 Eu.upf
ATOMIC_POSITIONS crystal
O 0.000 0.500 0.500
O 0.500 0.000 0.500
O 0.500 0.500 0.000
Sn 0.500 0.500 0.500
Eu 0.000 0.000 0.000
CELL_PARAMETERS angstrom
4.076 0.000 0.000
0.000 4.076 0.000
0.000 0.000 4.076
```

Summary:
- Formation energy: -2.42 eV per atom



Below is a relaxed SrBeF4 crystal, with properties calculated at the r2SCAN level. Values from VASP.

```
&SYSTEM
  ibrav = 0, nat = 24, ntyp = 3
/
ATOMIC_SPECIES
F 19.00 F.upf
Sr 87.62 Sr.upf
Be 9.01 Be.upf
ATOMIC_POSITIONS crystal
F 0.122 0.411 0.402
F 0.878 0.589 0.598
F 0.378 0.411 0.902
F 0.542 0.298 0.697
F 0.682 0.240 0.969
F 0.912 0.790 0.177
F 0.458 0.702 0.303
F 0.588 0.790 0.677
F 0.958 0.298 0.197
F 0.182 0.760 0.531
F 0.622 0.589 0.098
F 0.818 0.240 0.469
F 0.088 0.210 0.823
F 0.412 0.210 0.323
F 0.042 0.702 0.803
F 0.318 0.760 0.031
Sr 0.693 0.970 0.330
Sr 0.193 0.030 0.170
Sr 0.807 0.970 0.830
Sr 0.307 0.030 0.670
Be 0.954 0.431 0.315
Be 0.046 0.569 0.685
Be 0.546 0.431 0.815
Be 0.454 0.569 0.185
CELL_PARAMETERS angstrom
-5.702 1.993 -5.519
-3.825 -0.877 3.634
-3.367 5.624 5.510
```

Summary:
- Formation energy: -3.89 eV per atom



Below is a relaxed Th6FeBr15 crystal, with properties calculated at the r2SCAN level. Values from VASP.

```
&SYSTEM
  ibrav = 0, nat = 22, ntyp = 3
/
ATOMIC_SPECIES
Br 79.90 Br.upf
Th 232.04 Th.upf
Fe 55.84 Fe.upf
ATOMIC_POSITIONS crystal
Br 0.500 0.500 0.000
Br 0.000 0.500 0.500
Br 0.748 0.000 0.252
Br 0.495 0.748 0.748
Br 0.505 0.252 0.252
Br 0.252 0.748 0.000
Br 0.000 0.252 0.748
Br 0.748 0.495 0.748
Br 0.500 0.000 0.500
Br 0.748 0.748 0.495
Br 0.748 0.252 0.000
Br 0.000 0.748 0.252
Br 0.252 0.000 0.748
Br 0.252 0.505 0.252
Br 0.252 0.252 0.505
Th 0.000 0.761 0.761
Th 0.761 0.000 0.761
Th 0.239 0.239 0.000
Th 0.761 0.761 0.000
Th 0.239 0.000 0.239
Th 0.000 0.239 0.239
Fe 0.000 0.000 0.000
CELL_PARAMETERS angstrom
5.522 -0.547 8.376
-3.504 9.352 -1.097
-7.710 -6.410 0.647
```

Summary:
- Formation energy: -1.77 eV per atom



| no. | magnetic moment (μB/f.u.) | VASP energy (eV/atom) |
| --- | --- | --- |
| 1 | 0.00 | -19.164 |
| 2 | 0.00 | -14.875 |
| 3 | 0.00 | -49.234 |
| 4 | 1.84 | -27.921 |
| 5 | 0.63 | -52.121 |
| 6 | 0.00 | -17.243 |
| 7 | 6.99 | -26.431 |
| 8 | 0.54 | -35.685 |
| 9 | 27.00 | -9.384 |
| 10 | 0.00 | -23.429 |
| 11 | 0.00 | -32.514 |
| 12 | 5.00 | -11.185 |
| 13 | 0.00 | -17.654 |
| 14 | 0.00 | -41.428 |
| 15 | 0.00 | -20.496 |
| 16 | 0.00 | -7.760 |
| 17 | 0.01 | -24.805 |
| 18 | 0.00 | -22.993 |
| 19 | 6.92 | -18.652 |
| 20 | 0.00 | -9.224 |
| 21 | 1.00 | -31.502 |